Computed, not measured: a relaxed Mg14TiSb crystal at the GGA-PBE level of DFT.

Unit cell a=6.3889 b=6.2863 c=10.3498 alpha=90.00 beta=90.00 gamma=119.47
Atoms (fractional coordinates):
1 Mg 0.1666 0.3333 0.6250
2 Mg 0.1664 0.8332 0.6250
3 Mg 0.6676 0.3323 0.1250
4 Mg 0.6662 0.3333 0.6250
5 Mg 0.6676 0.8353 0.1250
6 Mg 0.6662 0.8329 0.6250
7 Mg 0.3330 0.1699 0.3744
8 Mg 0.3330 0.1699 0.8756
9 Mg 0.3330 0.6631 0.3744
10 Mg 0.3330 0.6631 0.8756
11 Mg 0.8367 0.1684 0.3739
12 Mg 0.8367 0.1684 0.8761
13 Mg 0.8312 0.6656 0.3765
14 Mg 0.8312 0.6656 0.8735
15 Ti 0.1671 0.3335 0.1250
16 Sb 0.1643 0.8322 0.1250

Output
- ΔE to the lowest computed polymorph (meV per atom) = 0
- corrected total energy (MP2020 scheme) (eV/atom) = -2.1617
- crystal system = orthorhombic
- magnetic moment (μB/atom) = 0.10
- ΔH_f (0 K) (meV/atom) = -10
- energy (eV per atom) = -2.150